(1)
Ba3SrCu4O12 | PBE | relaxed

Values from the calculation:
Total moment (Bohr magnetons per cell): 3.475
ΔH_f (0 K) (eV/atom): -1.680

Geometry as POSCAR:
```
Ba3SrCu4O12
1.0
8.0174 0.0000 0.0000
0.0000 8.0174 0.0000
0.0000 0.0000 4.0039
Ba Sr Cu O
3 1 4 12
direct
0.0000 0.0000 0.0000
0.0000 0.5000 0.0000
0.5000 0.0000 0.0000
0.5000 0.5000 0.0000
0.2499 0.2499 0.5000
0.2499 0.7501 0.5000
0.7501 0.2499 0.5000
0.7501 0.7501 0.5000
0.0000 0.2514 0.5000
0.0000 0.7486 0.5000
0.2514 0.0000 0.5000
0.2567 0.2567 0.0000
0.2567 0.7433 0.0000
0.2614 0.5000 0.5000
0.5000 0.2614 0.5000
0.5000 0.7386 0.5000
0.7386 0.5000 0.5000
0.7433 0.2567 0.0000
0.7433 0.7433 0.0000
0.7486 0.0000 0.5000
```

(2)
LiCu2F6 | PBE | relaxed

Values from the calculation:
Total moment (Bohr magnetons per cell): 5.953
Excess energy over the best structure of this formula in the dataset (kJ per mole of atoms): 4.1
ΔH_f (0 K) (eV/atom): -2.063

Geometry as POSCAR:
```
LiCu2F6
1.0
2.5157 -4.5136 0.0000
2.5157 4.5136 0.0000
-0.1219 0.0000 8.9199
Li Cu F
2 4 12
direct
0.0062 0.9938 0.7500
0.9938 0.0062 0.2500
0.3344 0.6660 0.9996
0.3340 0.6656 0.5004
0.6656 0.3340 0.0004
0.6660 0.3344 0.4996
0.0058 0.3505 0.1163
0.0069 0.3564 0.6191
0.3412 0.3433 0.3833
0.3433 0.3412 0.8833
0.3505 0.0058 0.6163
0.3564 0.0069 0.1191
0.6436 0.9931 0.8809
0.6495 0.9942 0.3837
0.6567 0.6588 0.1167
0.6588 0.6567 0.6167
0.9931 0.6436 0.3809
0.9942 0.6495 0.8837
```

(3)
Sm2Ga2Fe15 | PBE | relaxed

Values from the calculation:
Total moment (Bohr magnetons per cell): 30.034
Excess energy over the best structure of this formula in the dataset (kJ per mole of atoms): 0.0
ΔH_f (0 K) (eV/atom): -0.024

Geometry as POSCAR:
```
Sm2Ga2Fe15
1.0
4.2538 2.4559 4.1734
-4.2538 2.4559 4.1734
0.0000 -4.9119 4.1734
Sm Ga Fe
2 2 15
direct
0.1526 0.1526 0.1526
0.8474 0.8474 0.8474
0.3968 0.3968 0.3968
0.6032 0.6032 0.6032
0.0000 0.5000 0.5000
0.1587 0.1587 0.6575
0.1587 0.6575 0.1587
0.2068 0.5000 0.7932
0.2068 0.7932 0.5000
0.3425 0.8413 0.8413
0.5000 0.0000 0.5000
0.5000 0.2068 0.7932
0.5000 0.5000 0.0000
0.5000 0.7932 0.2068
0.6575 0.1587 0.1587
0.7932 0.2068 0.5000
0.7932 0.5000 0.2068
0.8413 0.3425 0.8413
0.8413 0.8413 0.3425
```

(4)
NiSe | PBE | relaxed

Values from the calculation:
ΔH_f (0 K) (eV/atom): -0.462

Geometry as POSCAR:
```
NiSe
1.0
3.6544 0.0000 0.0000
0.0000 3.6544 0.0000
0.0000 0.0000 5.4302
Ni Se
2 2
direct
0.2500 0.7500 0.0000
0.7500 0.2500 0.0000
0.2500 0.2500 0.2762
0.7500 0.7500 0.7238
```

(5)
Sc6ReO12 | PBE | relaxed

Values from the calculation:
Total moment (Bohr magnetons per cell): 1.004
Excess energy over the best structure of this formula in the dataset (kJ per mole of atoms): 95.8
ΔH_f (0 K) (eV/atom): -2.552

Geometry as POSCAR:
```
Sc6ReO12
1.0
5.3941 0.0000 0.0000
0.0000 7.6284 0.0000
0.0000 -3.8142 6.6064
Sc Re O
6 1 12
direct
0.1083 0.1711 0.3557
0.1711 0.6443 0.1083
0.3557 0.1083 0.8289
0.6443 0.8917 0.1711
0.8289 0.3557 0.8917
0.8917 0.8289 0.6443
0.5000 0.5000 0.5000
0.0820 0.0868 0.6778
0.0868 0.3222 0.0820
0.1960 0.5980 0.4555
0.3222 0.9180 0.0868
0.4020 0.4555 0.8040
0.4555 0.1960 0.4020
0.5445 0.8040 0.5980
0.5980 0.5445 0.1960
0.6778 0.0820 0.9132
0.8040 0.4020 0.5445
0.9132 0.6778 0.9180
0.9180 0.9132 0.3222
```

(6)
Ca5CdCu2 | PBE | relaxed

Values from the calculation:
ΔH_f (0 K) (eV/atom): -0.184

Geometry as POSCAR:
```
Ca5CdCu2
1.0
-3.9546 3.9546 7.3479
3.9546 -3.9546 7.3479
3.9546 3.9546 -7.3479
Ca Cd Cu
10 2 4
direct
0.0000 0.0000 0.0000
0.0285 0.5285 0.8366
0.1919 0.0285 0.5000
0.3081 0.8081 0.8366
0.4715 0.3081 0.5000
0.5000 0.5000 0.0000
0.5285 0.6919 0.5000
0.6919 0.1919 0.1634
0.8081 0.9715 0.5000
0.9715 0.4715 0.1634
0.2500 0.2500 0.0000
0.7500 0.7500 0.0000
0.1142 0.3858 0.5000
0.3858 0.8858 0.2717
0.6142 0.1142 0.7283
0.8858 0.6142 0.5000
```